Record 1
DFT (r²SCAN) results for a geometry-optimized Pm2CuSn structure.

Output
Size of the total moment (μB per cell): 0.00

The structure in extended XYZ format:
```
4
Lattice="-0.0024 3.7316 3.7034 3.7247 0.0222 3.7256 3.7186 3.7152 -0.0192" Properties=species:S:1:pos:R:3 pbc="T T T"
Sn 5.5807 5.6017 5.5573
Cu 1.8599 1.8677 1.8527
Pm 3.7200 3.7358 3.7043
Pm 3.7168 7.4453 3.6847
```

=====

Record 2
DFT (r²SCAN) results for a geometry-optimized YbPmCu2 structure.

Output
Size of the total moment (μB per cell): 0.00

The structure in extended XYZ format:
```
4
Lattice="0.0000 3.4554 3.4554 3.4554 0.0000 3.4554 3.4554 3.4554 0.0000" Properties=species:S:1:pos:R:3 pbc="T T T"
Cu 5.1830 5.1830 5.1830
Cu 1.7277 1.7277 1.7277
Pm 3.4554 3.4554 3.4554
Yb 0.0000 0.0000 0.0000
```

=====

Record 3
DFT (r²SCAN) results for a geometry-optimized PrCu6 structure.

Output
Size of the total moment (μB per cell): 0.00

The structure in extended XYZ format:
```
28
Lattice="-4.4841 2.0153 -1.2924 -3.5524 -7.0474 1.3359 -1.5867 2.6168 9.5853" Properties=species:S:1:pos:R:3 pbc="T T T"
Cu -1.8795 -0.1807 1.2411
Cu -4.0795 -1.9091 6.1787
Cu -3.4336 0.2090 7.2406
Cu -5.2265 -3.2871 8.0096
Cu -4.4835 2.0776 3.8008
Cu -6.1896 -2.6243 2.3881
Cu -5.7906 3.3529 5.4132
Cu -5.1397 -4.4930 5.8280
Cu -4.0687 -1.5689 1.7607
Cu -7.7575 0.1437 7.2331
Cu -6.0356 -4.7781 3.5806
Cu -1.8657 -2.5590 2.3957
Cu -5.6257 0.7253 5.6548
Cu -7.7437 -2.2347 8.3876
Cu -4.3967 0.8718 1.6191
Cu -3.9975 -3.1407 3.9739
Cu -3.8326 -5.7683 4.2156
Cu -3.5876 2.3628 6.0481
Cu -4.1054 0.2544 9.6423
Cu -6.8425 -4.8172 1.2341
Cu -2.7807 2.4019 8.3946
Cu -5.5178 -2.6697 -0.0135
Cu -5.5437 -0.5062 3.4500
Cu -5.5545 -0.8464 7.8681
Pr -2.7438 -0.1998 4.2098
Pr -6.8794 -2.2156 5.4190
Pr -3.9284 -4.6990 1.3043
Pr -5.6948 2.2837 8.3245
```

=====

Record 4
DFT (r²SCAN) results for a geometry-optimized PrCu6 structure.

Output
Size of the total moment (μB per cell): 0.00

The structure in extended XYZ format:
```
28
Lattice="5.0821 -0.0039 0.0000 -0.1934 8.0073 0.0000 0.0000 0.0000 10.0510" Properties=species:S:1:pos:R:3 pbc="T T T"
Cu 1.1947 3.2095 9.8894
Cu -0.1564 7.5032 3.1300
Cu 5.0450 0.5001 6.9209
Cu 1.0530 4.5182 6.0199
Cu 3.6985 6.8035 8.6183
Cu 3.6939 4.7938 0.1615
Cu 1.1497 0.5146 9.0565
Cu 1.1901 1.1998 1.4327
Cu 3.7746 1.4520 2.4608
Cu 4.9483 4.5037 8.1555
Cu 1.0980 7.2131 5.1870
Cu 3.8357 3.4851 4.0311
Cu 2.4380 3.4675 1.9365
Cu 2.5474 0.5322 6.9620
Cu 2.3413 7.4711 3.0890
Cu 3.7952 2.7998 6.4581
Cu 1.2107 2.5477 7.4863
Cu 3.6779 5.4556 2.5647
Cu 2.4507 4.5358 8.1145
Cu 1.1140 6.5513 7.5901
Cu -0.0597 3.4996 1.8954
Cu 3.7906 0.7902 4.8640
Cu 1.0934 5.2035 3.5928
Cu 3.7389 7.4888 0.9944
Pr 1.1669 6.0969 0.6363
Pr 1.2636 2.0933 4.3892
Pr 3.7217 1.9064 9.4147
Pr 3.6250 5.9101 5.6617
```

=====

Record 5
DFT (r²SCAN) results for a geometry-optimized PrCu5 structure.

Output
Size of the total moment (μB per cell): 0.00

The structure in extended XYZ format:
```
6
Lattice="5.0905 0.0000 0.0000 -2.5453 4.4085 0.0000 0.0000 0.0000 4.0710" Properties=species:S:1:pos:R:3 pbc="T T T"
Cu 1.2726 2.2043 2.0355
Cu -1.2726 2.2043 2.0355
Cu 0.0000 2.9390 0.0000
Cu 2.5453 1.4695 0.0000
Cu 2.5453 0.0000 2.0355
Pr 0.0000 0.0000 0.0000
```

=====

Record 6
DFT (r²SCAN) results for a geometry-optimized PrCuS2 structure.

Output
Size of the total moment (μB per cell): 0.00

The structure in extended XYZ format:
```
16
Lattice="6.5456 0.0522 0.0000 -0.9810 6.8244 0.0000 0.0000 0.0000 7.2373" Properties=species:S:1:pos:R:3 pbc="T T T"
S 3.0869 5.3229 0.8326
S 0.0934 3.4074 1.6319
S 3.5774 1.9107 2.7860
S 2.4777 1.5538 6.4047
S 5.4711 3.4692 5.6054
S 5.9617 0.0570 5.2505
S -0.3971 6.8196 1.9868
S 1.9871 4.9660 4.4513
Pr 5.1054 1.4030 0.3747
Pr 0.4592 5.4736 6.8626
Pr 0.9497 2.0614 3.9933
Pr 4.6149 4.8153 3.2440
Cu 3.7066 0.3756 4.7943
Cu 1.8580 6.5010 2.4430
Cu 3.2161 3.7879 6.0617
Cu 2.3485 3.0888 1.1756
```

=====

Record 7
DFT (r²SCAN) results for a geometry-optimized PrCuSb2 structure.

Output
Size of the total moment (μB per cell): 0.00

The structure in extended XYZ format:
```
8
Lattice="-0.7346 3.4268 2.6125 -3.1493 -2.2357 2.0471 6.8936 -3.6055 6.6677" Properties=species:S:1:pos:R:3 pbc="T T T"
Sb 4.9120 -2.7792 6.8551
Sb -1.9023 0.3647 4.4722
Sb 2.1085 0.2084 5.8050
Sb 0.9012 -2.6229 5.5223
Cu -1.3383 2.0111 2.4711
Cu -2.5457 -0.8201 2.1884
Pr 0.7609 -0.6081 2.8401
Pr 2.2488 -1.8064 8.4872
```

=====

Record 8
DFT (r²SCAN) results for a geometry-optimized Pr3Cu4Sn4 structure.

Output
Size of the total moment (μB per cell): 0.00

The structure in extended XYZ format:
```
11
Lattice="0.0000 0.0000 4.5927 0.0000 -7.0180 0.0000 7.5625 3.5090 -2.2964" Properties=species:S:1:pos:R:3 pbc="T T T"
Sn 3.2748 -3.5090 0.0000
Sn 0.0000 -1.3999 2.2964
Sn 4.2877 0.0000 2.2964
Sn 0.0000 -5.6181 2.2964
Pr 5.5342 -3.5090 2.2964
Pr 2.0283 0.0000 0.0000
Pr 0.0000 -3.5090 0.0000
Cu 5.0360 1.2727 0.0000
Cu 2.5266 -4.7816 2.2964
Cu 2.5266 -2.2363 2.2964
Cu 5.0360 -1.2727 0.0000
```

=====

Number 1: volume 25.73 A^3/atom, ΔE_f -0.4706 eV per atom. Number 2: volume 20.63 A^3/atom, ΔE_f -0.2292 eV per atom. Number 3: volume 14.62 A^3/atom, ΔE_f -0.1140 eV per atom. Number 4: volume 14.61 A^3/atom, ΔE_f -0.1144 eV per atom. Number 5: volume 15.23 A^3/atom, ΔE_f -0.1453 eV per atom. Number 6: volume 20.23 A^3/atom, ΔE_f -1.5934 eV per atom. Number 7: volume 24.47 A^3/atom, ΔE_f -0.7671 eV per atom. Number 8: volume 22.16 A^3/atom, ΔE_f -0.5736 eV per atom.